# 1
This record from Materials Project describes a geometry-optimized Sr2FeReO6 structure. The functional is GGA+U.

Structure (POSCAR):
```
Sr2FeReO6
1.0
-6.521 4.631 0.011
-3.298 -4.602 5.581
-1.587 4.679 8.605
O Fe Sr Re
24 4 8 4
Cartesian
-7.283 3.589 10.025 O
-4.407 1.367 7.190 O
-6.013 5.974 4.337 O
-9.717 3.796 13.932 O
-8.607 8.001 9.916 O
-5.720 5.768 7.085 O
-5.387 -1.300 4.153 O
-6.587 0.937 8.767 O
-5.684 -1.059 7.114 O
-4.840 3.762 5.443 O
-6.581 0.911 3.070 O
-4.414 1.354 1.470 O
-7.324 3.518 4.279 O
-7.024 3.322 7.041 O
-4.094 1.158 4.222 O
-4.083 1.188 9.917 O
-5.365 -1.245 9.830 O
-4.405 1.358 12.850 O
-3.217 -0.851 2.561 O
-8.194 5.536 5.937 O
-3.296 5.565 8.838 O
-3.192 -0.826 8.243 O
-9.032 1.131 6.968 O
-2.401 3.536 7.180 O
-3.249 2.345 5.699 Fe
-8.145 2.392 14.191 Fe
-8.157 2.361 8.498 Fe
-8.169 2.331 2.804 Fe
-6.535 1.224 11.342 Sr
-8.120 5.827 8.553 Sr
-9.762 3.521 11.348 Sr
-3.261 -1.148 5.650 Sr
-4.897 3.510 2.846 Sr
-6.528 1.165 5.664 Sr
-1.627 1.198 2.834 Sr
-4.892 3.536 8.551 Sr
-6.517 4.648 5.688 Re
-4.900 0.028 2.814 Re
-1.597 4.665 8.586 Re
-4.889 0.058 8.508 Re
```

Calculated values
- Corrected total energy (MP2020 scheme): -7.942 eV/atom
- Formation energy: -245.4 kJ/mol of atoms
- Symmetry: No. 5
- M_tot: 1.0 μB/f.u.

# 2
This record from Materials Project describes a geometry-optimized Sr8Fe5Re5O28 structure. The functional is GGA+U.

Structure (POSCAR):
```
Sr8Fe5Re5O28
1.0
-4.916 2.458 0.970
-2.634 -4.396 -2.210
-0.959 -11.031 23.083
Re Sr O Fe
5 8 28 5
Cartesian
-0.630 -7.245 15.160 Re
-0.329 -3.787 7.924 Re
-3.958 -3.070 3.775 Re
-4.551 -9.900 18.068 Re
-4.255 -6.485 10.922 Re
-3.012 -5.147 13.828 Sr
-3.166 -6.920 17.538 Sr
-1.871 -8.574 12.238 Sr
-2.863 -3.426 10.226 Sr
-2.025 -10.347 15.948 Sr
-1.722 -6.853 8.636 Sr
-2.709 -1.653 6.516 Sr
-1.568 -5.080 4.926 Sr
-4.000 -11.613 17.387 O
-6.120 -6.964 10.615 O
-3.398 -4.693 2.908 O
-3.691 -8.179 10.136 O
-6.317 -8.703 14.221 O
-3.526 -6.494 6.502 O
-5.791 -3.497 3.381 O
-3.826 -9.948 13.730 O
-6.393 -10.416 17.859 O
-4.983 -6.475 15.341 O
-6.017 -5.249 6.994 O
-4.028 -3.884 5.480 O
-4.181 -5.638 9.150 O
-0.703 -8.091 16.930 O
-4.481 -9.086 16.364 O
-0.256 -2.941 6.153 O
-4.683 -3.021 8.114 O
-2.116 -2.553 3.984 O
-4.509 -1.357 4.457 O
-4.818 -4.791 11.708 O
-0.556 -6.400 13.393 O
-2.192 -4.267 7.622 O
-4.328 -7.332 12.694 O
-0.403 -4.631 9.690 O
-5.111 -8.276 18.935 O
-2.492 -7.721 14.850 O
-2.718 -9.473 18.463 O
-2.389 -6.006 11.228 O
-0.479 -5.516 11.542 Fe
-0.778 -8.952 18.731 Fe
-4.107 -4.783 7.360 Fe
-4.402 -8.187 14.484 Fe
-0.181 -2.080 4.352 Fe
```

Calculated values
- Corrected total energy (MP2020 scheme): -7.912 eV/atom
- Formation energy: -225.1 kJ/mol of atoms
- Symmetry: No. 123
- M_tot: 21.3 μB/f.u.

# 3
This record from Materials Project describes a geometry-optimized Sr2FeReO6 structure. The functional is GGA+U.

Structure (POSCAR):
```
Sr2FeReO6
1.0
-3.115 -4.513 1.165
4.582 1.117 3.094
-12.125 10.739 9.231
O Sr Re Fe
24 8 4 4
Cartesian
-11.505 8.876 9.342 O
-11.029 7.098 11.571 O
-3.444 -0.387 2.807 O
-2.709 0.104 6.650 O
-1.242 0.447 4.301 O
2.758 0.538 3.520 O
-3.659 6.095 8.182 O
-4.911 -0.730 5.156 O
-7.250 3.358 7.120 O
-3.708 1.725 4.616 O
-13.412 6.804 9.968 O
-7.210 7.723 10.677 O
-3.409 3.996 6.374 O
-11.323 4.828 9.816 O
-9.405 6.897 9.190 O
-5.759 8.071 8.334 O
-4.868 3.652 8.721 O
-6.956 5.629 8.873 O
0.371 0.234 1.917 O
-7.009 1.253 5.316 O
0.670 2.504 3.676 O
-5.795 3.693 4.773 O
0.857 -1.538 4.141 O
-7.954 7.246 6.847 O
-9.521 4.988 7.394 Sr
-1.180 -2.010 2.543 Sr
-1.878 1.858 2.176 Sr
-9.490 9.366 10.966 Sr
-1.159 2.371 6.115 Sr
-5.674 5.603 6.558 Sr
-4.972 1.726 6.914 Sr
-8.760 5.470 11.297 Sr
-7.630 3.121 5.208 Re
-3.076 -0.142 4.728 Re
-10.649 7.334 13.482 Re
-7.582 7.485 8.762 Re
-3.766 3.707 4.348 Fe
-11.417 6.861 9.586 Fe
0.729 0.522 3.944 Fe
-6.863 3.595 9.102 Fe
```

Calculated values
- Corrected total energy (MP2020 scheme): -7.919 eV/atom
- Formation energy: -243.2 kJ/mol of atoms
- Symmetry: No. 2
- M_tot: 0.7 μB/f.u.

# 4
This record from Materials Project describes a geometry-optimized FeRhO3 structure. The functional is GGA+U.

Structure (POSCAR):
```
FeRhO3
1.0
3.898 0.000 0.000
0.000 3.898 0.000
0.000 0.000 3.898
O Rh Fe
3 1 1
Cartesian
1.949 0.000 1.949 O
0.000 1.949 1.949 O
1.949 1.949 0.000 O
1.949 1.949 1.949 Rh
0.000 0.000 0.000 Fe
```

Calculated values
- Corrected total energy (MP2020 scheme): -6.500 eV/atom
- Formation energy: -35.1 kJ/mol of atoms
- Symmetry: No. 221
- M_tot: 5.1 μB/f.u.

# 5
This record from Materials Project describes a geometry-optimized FeRhO3 structure. The functional is GGA+U.

Structure (POSCAR):
```
FeRhO3
1.0
-1.372 -0.332 -3.496
-1.808 -3.151 1.009
-3.010 2.044 0.987
O Rh Fe
3 1 1
Cartesian
-0.686 -0.166 -1.748 O
-0.904 -1.575 0.504 O
-1.505 1.022 0.494 O
-3.095 -0.719 -0.750 Rh
0.000 0.000 0.000 Fe
```

Calculated values
- Corrected total energy (MP2020 scheme): -6.603 eV/atom
- Formation energy: -45.1 kJ/mol of atoms
- Symmetry: No. 221
- M_tot: 7.7 μB/f.u.

# 6
This record from Materials Project describes a geometry-optimized Sr4FeRh2O9 structure. The functional is GGA+U.

Structure (POSCAR):
```
Sr4FeRh2O9
1.0
-9.345 -1.973 1.897
6.521 0.095 7.230
-1.431 7.917 1.186
O Sr Rh Fe
27 12 6 3
Cartesian
-5.739 5.911 6.289 O
-3.243 0.869 5.110 O
2.120 2.933 5.769 O
-3.486 3.716 3.958 O
2.670 0.146 5.338 O
-6.003 3.353 3.343 O
4.778 1.181 7.679 O
-3.614 4.937 8.642 O
-6.537 6.151 3.725 O
0.585 -0.470 6.933 O
0.736 1.393 1.393 O
-4.096 1.119 2.417 O
-1.414 4.902 6.505 O
0.090 2.336 7.307 O
1.173 5.202 7.627 O
-0.267 2.656 4.736 O
-5.971 0.476 4.444 O
-2.570 -0.181 7.912 O
0.205 -0.142 4.284 O
-2.644 6.207 1.337 O
-5.217 3.123 5.827 O
-1.178 3.651 2.088 O
-3.946 6.522 4.371 O
4.738 4.038 6.640 O
-9.448 4.582 3.978 O
0.787 5.550 4.839 O
-8.530 2.309 2.179 O
-1.797 -1.195 5.808 Sr
1.414 3.990 2.954 Sr
3.196 5.982 5.970 Sr
-3.766 3.314 1.212 Sr
-1.762 5.399 3.878 Sr
-0.973 4.745 9.193 Sr
-3.398 -0.717 0.690 Sr
-1.470 1.320 3.130 Sr
-5.088 0.092 6.962 Sr
2.371 0.035 2.629 Sr
-6.666 0.579 1.808 Sr
-2.617 2.694 6.741 Sr
-4.207 -0.450 3.800 Rh
-0.484 2.679 0.401 Rh
-4.670 2.115 4.184 Rh
-0.947 5.238 0.785 Rh
-0.048 6.489 6.514 Rh
0.416 3.924 6.130 Rh
0.000 0.000 0.000 Fe
-5.151 4.774 4.582 Fe
0.896 1.266 5.731 Fe
```

Calculated values
- Corrected total energy (MP2020 scheme): -6.970 eV/atom
- Formation energy: -223.3 kJ/mol of atoms
- Symmetry: No. 150
- M_tot: 5.6 μB/f.u.

# 7
This record from Materials Project describes a geometry-optimized Sr4FeRuO8 structure. The functional is GGA+U.

Structure (POSCAR):
```
Sr4FeRuO8
1.0
-1.984 6.467 1.506
0.999 -3.297 -6.013
-5.351 -1.644 0.013
O Sr Ru Fe
8 4 1 1
Cartesian
0.518 -1.722 -4.800 O
-1.503 4.892 0.293 O
-1.604 0.383 -1.134 O
-3.645 2.326 -1.044 O
-4.731 1.142 -3.360 O
-2.092 1.953 -3.367 O
-4.243 -0.428 -1.128 O
-2.690 -0.800 -3.451 O
-2.107 -2.708 -4.920 Sr
-4.228 4.234 0.425 Sr
-0.058 0.162 -3.349 Sr
-0.927 3.008 -1.158 Sr
-3.168 0.763 -2.247 Ru
0.000 0.000 0.000 Fe
```

Calculated values
- Corrected total energy (MP2020 scheme): -7.136 eV/atom
- Formation energy: -246.8 kJ/mol of atoms
- Symmetry: No. 65
- M_tot: 8.0 μB/f.u.

# 8
This record from Materials Project describes a geometry-optimized Sr3FeRuO7 structure. The functional is GGA+U.

Structure (POSCAR):
```
Sr3FeRuO7
1.0
-1.948 1.948 10.602
1.948 -1.948 10.602
1.948 1.948 -10.602
O Fe Sr Ru
7 1 3 1
Cartesian
1.948 0.000 2.094 O
0.000 0.000 17.027 O
0.000 0.000 4.139 O
0.000 0.000 0.087 O
0.000 1.948 8.594 O
0.000 1.948 2.094 O
1.948 0.000 8.594 O
0.000 0.000 19.035 Fe
0.000 0.000 6.723 Sr
0.000 0.000 10.369 Sr
0.000 0.000 14.609 Sr
0.000 0.000 2.056 Ru
```

Calculated values
- Corrected total energy (MP2020 scheme): -7.193 eV/atom
- Formation energy: -232.1 kJ/mol of atoms
- Symmetry: No. 107
- M_tot: 5.8 μB/f.u.

- formation energy of number 5 (FeRhO3)?
  -45.1 kJ/mol of atoms